Entry 1:
The following is a PBE calculation of Ag15P4S16Cl3 after structural relaxation, from the Materials Project database.

a b c (Å): 13.047 13.047 13.047
angles (deg): 109.47 109.47 109.47
Element x y z (fractional)
Ag  0.345  0.806  0.718
S  0.760  0.678  0.125
Ag  0.588  0.627  0.782
S  0.875  0.134  0.552
P  0.500  0.000  0.600
Ag  0.912  0.694  0.039
Ag  0.875  0.125  0.750
S  0.552  0.875  0.134
Ag  0.461  0.155  0.873
Ag  0.806  0.718  0.345
Ag  0.961  0.373  0.655
Ag  0.250  0.625  0.375
S  0.866  0.918  0.740
S  0.125  0.760  0.678
P  0.100  0.500  0.000
P  0.000  0.100  0.500
Ag  0.375  0.250  0.625
S  0.000  0.443  0.500
Cl  0.875  0.250  0.125
Ag  0.218  0.306  0.845
Ag  0.655  0.961  0.373
S  0.366  0.240  0.418
Ag  0.539  0.194  0.412
S  0.082  0.322  0.948
Ag  0.125  0.750  0.875
S  0.178  0.260  0.625
Ag  0.155  0.873  0.461
S  0.375  0.052  0.634
P  0.900  0.900  0.900
Ag  0.782  0.588  0.627
Ag  0.373  0.655  0.961
S  0.052  0.634  0.375
Ag  0.194  0.412  0.539
Ag  0.750  0.875  0.125
S  0.948  0.082  0.322
Ag  0.694  0.039  0.912
S  0.443  0.500  0.000
S  0.448  0.822  0.582
S  0.943  0.500  0.000
S  0.322  0.948  0.082
Cl  0.625  0.750  0.375
Ag  0.873  0.461  0.155
Ag  0.718  0.345  0.806
S  0.625  0.178  0.260
P  0.500  0.000  0.100
S  0.557  0.557  0.557
S  0.740  0.866  0.918
S  0.582  0.448  0.822
S  0.500  0.000  0.443
Ag  0.088  0.282  0.127
Ag  0.039  0.912  0.694
S  0.240  0.418  0.366
S  0.500  0.000  0.943
S  0.918  0.740  0.866
Ag  0.845  0.218  0.306
P  0.400  0.400  0.400
S  0.057  0.057  0.057
Ag  0.627  0.782  0.588
Ag  0.282  0.127  0.088
Cl  0.125  0.875  0.250
Cl  0.750  0.375  0.625
Cl  0.375  0.625  0.750
S  0.634  0.375  0.052
P  0.000  0.600  0.500
Ag  0.412  0.539  0.194
S  0.678  0.125  0.760
S  0.134  0.552  0.875
S  0.260  0.625  0.178
P  0.600  0.500  0.000
S  0.000  0.943  0.500
Ag  0.625  0.375  0.250
Ag  0.306  0.845  0.218
Ag  0.127  0.088  0.282
S  0.418  0.366  0.240
Cl  0.250  0.125  0.875
S  0.822  0.582  0.448

Calculated values
Energy of formation ... -0.4867 eV/atom
E_tot ... -288.9 eV/cell
SG ... I-43d

=====

Entry 2:
The following is a PBE calculation of Ti2C2O9 after structural relaxation, from the Materials Project database.

a b c (Å): 9.580 9.580 9.799
angles (deg): 90.00 90.00 109.56
Element x y z (fractional)
C  0.112  0.112  0.831
O  0.367  0.221  0.517
O  0.867  0.721  0.983
O  0.049  0.347  0.311
O  0.871  0.371  0.750
O  0.487  0.342  0.283
C  0.182  0.182  0.967
Ti  0.176  0.541  0.403
O  0.847  0.549  0.189
O  0.185  0.815  0.000
C  0.888  0.888  0.169
O  0.629  0.129  0.250
O  0.000  0.500  0.500
O  0.133  0.279  0.017
O  0.153  0.451  0.811
C  0.818  0.818  0.033
O  0.987  0.842  0.217
O  0.013  0.158  0.783
O  0.371  0.871  0.750
O  0.221  0.367  0.517
O  0.685  0.315  0.500
O  0.129  0.629  0.250
Ti  0.824  0.459  0.597
O  0.842  0.987  0.217
O  0.500  0.000  0.000
O  0.633  0.779  0.483
Ti  0.541  0.176  0.403
Ti  0.041  0.676  0.097
O  0.451  0.153  0.811
O  0.815  0.185  0.000
C  0.388  0.388  0.331
C  0.318  0.318  0.467
Ti  0.676  0.041  0.097
O  0.721  0.867  0.983
O  0.342  0.487  0.283
Ti  0.959  0.324  0.903
Ti  0.459  0.824  0.597
O  0.158  0.013  0.783
C  0.612  0.612  0.669
O  0.000  0.500  0.000
O  0.513  0.658  0.717
O  0.658  0.513  0.717
C  0.682  0.682  0.533
O  0.500  0.000  0.500
O  0.549  0.847  0.189
O  0.653  0.951  0.689
O  0.315  0.685  0.500
O  0.347  0.049  0.311
O  0.951  0.653  0.689
O  0.779  0.633  0.483
O  0.279  0.133  0.017
Ti  0.324  0.959  0.903

Calculated values
Energy of formation ... -1.8904 eV/atom
E_tot ... -388.7 eV/cell
SG ... Cmce

=====

Entry 3:
The following is a PBE calculation of CeSiO4 after structural relaxation, from the Materials Project database.

a b c (Å): 5.894 5.894 5.894
angles (deg): 106.48 106.48 115.63
Element x y z (fractional)
Ce  0.500  0.500  0.000
O  0.260  0.581  0.679
Si  0.250  0.750  0.500
O  0.831  0.010  0.179
O  0.348  0.169  0.179
Ce  0.750  0.250  0.500
O  0.990  0.169  0.821
O  0.419  0.098  0.679
O  0.902  0.581  0.321
Si  0.000  0.000  0.000
O  0.831  0.652  0.821
O  0.419  0.740  0.321

Calculated values
Energy of formation ... -3.5642 eV/atom
E_tot ... -99.6 eV/cell
SG ... I4_1/amd